First-principles (GGA-PBE) data for a geometry-optimized Th2Zn structure, as listed in Materials Project.

Values from the calculation:
Its formation energy is -15 kJ per mole of atoms.

Cell lengths 7.635, 7.635, 5.573 Å; angles 90.00, 90.00, 90.00 degrees
Space group I4/mcm (No. 140)
Asymmetric unit:
Th  0.158  0.342  0.000 [8 per cell]
Zn  0.000  0.000  0.250 [4 per cell]